[1]
VASP calculation (PBE) on Sr2GdNbO6 after structural relaxation.

As for the crystal system: cubic. The formation energy from the elements comes out at -3.415 eV per atom. For the size of the total moment, the calculation gives 7.000 μB/f.u.

The structure belongs to space group Pn-3 (No. 201, origin choice 2); the cell edges are 8.427, 8.427 and 8.427 Å and the angles 90.00°, 90.00° and 90.00°. The asymmetric unit holds Sr at (0.250, 0.250, 0.250), Sr at (0.250, 0.250, 0.750), Gd at (0.000, 0.000, 0.000), Nb at (0.000, 0.000, 0.500) and O at (0.034, 0.541, 0.766).

***

[2]
VASP calculation (PBE) on SrSiO3 after structural relaxation.

As for the crystal system: monoclinic. The formation energy from the elements comes out at -2.539 eV per atom. For the size of the total moment, the calculation gives 0.000 μB/f.u.

The structure belongs to space group Pc (No. 7); the cell edges are 4.426, 10.902 and 7.637 Å and the angles 90.00°, 91.07° and 90.00°. The asymmetric unit holds Sr at (0.000, 0.034, 0.000), Sr at (0.930, 0.388, 0.745), Si at (0.038, 0.282, 0.233), Si at (0.456, 0.154, 0.705), O at (0.089, 0.146, 0.303), O at (0.246, 0.401, 0.320), O at (0.424, 0.300, 0.691), O at (0.819, 0.115, 0.712), O at (0.886, 0.392, 0.369) and O at (0.944, 0.291, 0.033).

***

[3]
VASP calculation (PBE) on Y2Si2O7 after structural relaxation.

As for the crystal system: monoclinic. The formation energy from the elements comes out at -3.656 eV per atom. For the size of the total moment, the calculation gives 0.001 μB/f.u.

The structure belongs to space group P2_1/m (No. 11); the cell edges are 5.096, 8.155 and 7.420 Å and the angles 90.00°, 108.78° and 90.00°. The asymmetric unit holds Y at (0.231, 0.008, 0.252), Si at (0.154, 0.250, 0.573), Si at (0.286, 0.750, 0.867), O at (0.009, 0.750, 0.665), O at (0.069, 0.750, 0.312), O at (0.216, 0.585, 0.966), O at (0.332, 0.081, 0.593) and O at (0.429, 0.250, 0.186).

***

[4]
VASP calculation (PBE) on NaDy3 after structural relaxation.

As for the crystal system: hexagonal. The formation energy from the elements comes out at 0.306 eV per atom. As for the relative energy among the computed polymorphs: 0 meV per atom. For the size of the total moment, the calculation gives 1.451 μB/f.u.

The structure belongs to space group P6_3/mmc (No. 194); the cell edges are 7.1874, 7.1874 and 5.7761 Å and the angles 90.00°, 90.00° and 120.00°. The asymmetric unit holds Na at (0.3333, 0.6667, 0.2500) and Dy at (0.1644, 0.3288, 0.7500).